Model one:
{"formula": "K3Nb3Si2O13", "functional": "GGA-PBE", "state": "optimized geometry", "magmom_total_mub_per_atom": 0.000, "spacegroup": "No. 189", "lattice_angstrom": [[4.6289, -8.0175, 0.0000], [4.6289, 8.0175, 0.0000], [0.0000, 0.0000, 7.9268]], "species": ["K", "K", "K", "K", "K", "K", "Nb", "Nb", "Nb", "Nb", "Nb", "Nb", "Si", "Si", "Si", "Si", "O", "O", "O", "O", "O", "O", "O", "O", "O", "O", "O", "O", "O", "O", "O", "O", "O", "O", "O", "O", "O", "O", "O", "O", "O", "O"], "fractional_positions": [[0.4041, 0.4041, 0.5000], [0.0000, 0.5959, 0.5000], [0.6107, 0.0000, 0.0000], [0.3893, 0.3893, 0.0000], [0.5959, 0.0000, 0.5000], [0.0000, 0.6107, 0.0000], [0.2379, 0.0000, 0.2504], [0.0000, 0.2379, 0.7496], [0.0000, 0.2379, 0.2504], [0.7621, 0.7621, 0.2504], [0.2379, 0.0000, 0.7496], [0.7621, 0.7621, 0.7496], [0.6667, 0.3333, 0.2089], [0.6667, 0.3333, 0.7911], [0.3333, 0.6667, 0.7911], [0.3333, 0.6667, 0.2089], [0.0000, 0.2319, 0.5000], [0.7681, 0.7681, 0.5000], [0.2319, 0.0000, 0.5000], [0.5134, 0.6961, 0.2709], [0.3039, 0.8172, 0.2709], [0.1828, 0.4866, 0.2709], [0.4866, 0.1828, 0.7291], [0.1828, 0.4866, 0.7291], [0.5134, 0.6961, 0.7291], [0.3039, 0.8172, 0.7291], [0.6961, 0.5134, 0.2709], [0.8172, 0.3039, 0.2709], [0.8172, 0.3039, 0.7291], [0.6961, 0.5134, 0.7291], [0.4866, 0.1828, 0.2709], [0.8261, 0.0000, 0.7654], [0.3333, 0.6667, 0.0000], [0.6667, 0.3333, 0.0000], [0.2701, 0.0000, 0.0000], [0.7299, 0.7299, 0.0000], [0.0000, 0.2701, 0.0000], [0.8261, 0.0000, 0.2346], [0.1739, 0.1739, 0.7654], [0.0000, 0.8261, 0.7654], [0.0000, 0.8261, 0.2346], [0.1739, 0.1739, 0.2346]]}

Model two:
{"formula": "K3Nb3Si2O13", "functional": "GGA-PBE", "state": "optimized geometry", "magmom_total_mub_per_atom": 0.000, "spacegroup": "No. 190", "lattice_angstrom": [[-4.0416, 2.0661, 8.0558], [-2.9401, -7.2553, -4.9209], [5.1945, -4.6880, 3.8085]], "species": ["K", "K", "K", "K", "K", "K", "Nb", "Nb", "Nb", "Nb", "Nb", "Nb", "Si", "Si", "Si", "Si", "O", "O", "O", "O", "O", "O", "O", "O", "O", "O", "O", "O", "O", "O", "O", "O", "O", "O", "O", "O", "O", "O", "O", "O", "O", "O"], "fractional_positions": [[0.3838, 0.9677, 0.2500], [0.6162, 0.5839, 0.7500], [0.0323, 0.4161, 0.2500], [0.5839, 0.6162, 0.2500], [0.4161, 0.0323, 0.7500], [0.9677, 0.3838, 0.7500], [0.7618, 0.0000, 0.5000], [0.7618, 0.0000, 0.0000], [0.2382, 0.2382, 0.0000], [0.2382, 0.2382, 0.5000], [0.0000, 0.7618, 0.5000], [0.0000, 0.7618, 0.0000], [0.3333, 0.6667, 0.9553], [0.6667, 0.3333, 0.0447], [0.6667, 0.3333, 0.4553], [0.3333, 0.6667, 0.5447], [0.4884, 0.3074, 0.9803], [0.9888, 0.7431, 0.2500], [0.0112, 0.7543, 0.7500], [0.7431, 0.9888, 0.7500], [0.7543, 0.0112, 0.2500], [0.5116, 0.8191, 0.4803], [0.1809, 0.6926, 0.0197], [0.2457, 0.2569, 0.7500], [0.8191, 0.5116, 0.9803], [0.6926, 0.1809, 0.5197], [0.8248, 0.8248, 0.5000], [0.8248, 0.8248, 0.0000], [0.6926, 0.1809, 0.9803], [0.2569, 0.2457, 0.2500], [0.8191, 0.5116, 0.5197], [0.3074, 0.4884, 0.0197], [0.5116, 0.8191, 0.0197], [0.3074, 0.4884, 0.4803], [0.1752, 0.0000, 0.5000], [0.1809, 0.6926, 0.4803], [0.6667, 0.3333, 0.2500], [0.0000, 0.1752, 0.5000], [0.4884, 0.3074, 0.5197], [0.0000, 0.1752, 0.0000], [0.1752, 0.0000, 0.0000], [0.3333, 0.6667, 0.7500]]}

Q: Which of them is the least stable? A: model one.

Model one:
{"formula": "KTiPO5", "functional": "GGA-PBE", "state": "optimized geometry", "magmom_total_mub_per_atom": 0.000, "spacegroup": "No. 33", "lattice_angstrom": [[-1.9242, -3.9200, -4.8365], [4.5097, -8.0974, 4.7689], [-11.0141, -2.4052, 6.3315]], "species": ["K", "K", "K", "K", "K", "K", "K", "K", "Ti", "Ti", "Ti", "Ti", "Ti", "Ti", "Ti", "Ti", "P", "P", "P", "P", "P", "P", "P", "P", "O", "O", "O", "O", "O", "O", "O", "O", "O", "O", "O", "O", "O", "O", "O", "O", "O", "O", "O", "O", "O", "O", "O", "O", "O", "O", "O", "O", "O", "O", "O", "O", "O", "O", "O", "O", "O", "O", "O", "O"], "fractional_positions": [[0.7261, 0.6283, 0.8948], [0.2739, 0.1283, 0.1052], [0.2261, 0.1283, 0.6052], [0.7739, 0.6283, 0.3948], [0.7971, 0.8680, 0.6160], [0.2029, 0.3680, 0.3840], [0.2971, 0.3680, 0.8840], [0.7029, 0.8680, 0.1160], [0.0115, 0.9967, 0.8701], [0.9885, 0.4967, 0.1299], [0.5115, 0.4967, 0.6299], [0.4885, 0.9967, 0.3701], [0.2476, 0.7233, 0.7778], [0.7524, 0.2233, 0.2222], [0.7476, 0.2233, 0.7222], [0.2524, 0.7233, 0.2778], [0.1730, 0.7554, 0.0261], [0.8270, 0.2554, 0.9739], [0.6730, 0.2554, 0.4739], [0.3270, 0.7554, 0.5261], [0.0172, 0.4781, 0.6792], [0.9828, 0.9781, 0.3208], [0.5172, 0.9781, 0.8208], [0.4828, 0.4781, 0.1792], [0.0755, 0.8887, 0.0102], [0.9245, 0.3887, 0.9898], [0.5755, 0.3887, 0.4898], [0.4245, 0.8887, 0.5102], [0.9976, 0.6553, 0.0406], [0.0024, 0.1553, 0.9594], [0.4976, 0.1553, 0.4594], [0.5024, 0.6553, 0.5406], [0.3066, 0.7107, 0.9317], [0.6934, 0.2107, 0.0683], [0.8066, 0.2107, 0.5683], [0.1934, 0.7107, 0.4317], [0.3100, 0.7573, 0.1245], [0.6900, 0.2573, 0.8755], [0.8100, 0.2573, 0.3755], [0.1900, 0.7573, 0.6245], [0.5408, 0.3331, 0.6938], [0.4592, 0.8331, 0.3062], [0.0408, 0.8331, 0.8062], [0.9592, 0.3331, 0.1938], [0.4600, 0.5836, 0.7451], [0.5400, 0.0836, 0.2549], [0.9600, 0.0836, 0.7549], [0.0400, 0.5836, 0.2451], [0.2027, 0.4670, 0.6041], [0.7973, 0.9670, 0.3959], [0.7027, 0.9670, 0.8959], [0.2973, 0.4670, 0.1041], [0.8234, 0.5252, 0.6223], [0.1766, 0.0252, 0.3777], [0.3234, 0.0252, 0.8777], [0.6766, 0.5252, 0.1223], [0.9823, 0.3434, 0.7293], [0.0177, 0.8434, 0.2707], [0.4823, 0.8434, 0.7707], [0.5177, 0.3434, 0.2293], [0.0627, 0.5705, 0.7715], [0.9373, 0.0705, 0.2285], [0.5627, 0.0705, 0.7285], [0.4373, 0.5705, 0.2715]]}

Model two:
{"formula": "KTiPO5", "functional": "GGA-PBE", "state": "optimized geometry", "magmom_total_mub_per_atom": 0.000, "spacegroup": "No. 33", "lattice_angstrom": [[-1.0152, -4.5429, 4.5260], [10.5494, -0.6892, 1.6746], [-0.8386, 9.2391, 9.0855]], "species": ["K", "K", "K", "K", "K", "K", "K", "K", "Ti", "Ti", "Ti", "Ti", "Ti", "Ti", "Ti", "Ti", "P", "P", "P", "P", "P", "P", "P", "P", "O", "O", "O", "O", "O", "O", "O", "O", "O", "O", "O", "O", "O", "O", "O", "O", "O", "O", "O", "O", "O", "O", "O", "O", "O", "O", "O", "O", "O", "O", "O", "O", "O", "O", "O", "O", "O", "O", "O", "O"], "fractional_positions": [[0.2009, 0.5656, 0.6061], [0.2200, 0.8106, 0.3756], [0.7200, 0.3106, 0.1244], [0.2800, 0.8106, 0.8756], [0.7800, 0.3106, 0.6244], [0.7009, 0.0656, 0.8939], [0.2991, 0.5656, 0.1061], [0.7991, 0.0656, 0.3939], [0.7643, 0.7546, 0.7456], [0.2357, 0.2546, 0.2544], [0.7357, 0.7546, 0.2456], [0.2643, 0.2546, 0.7544], [0.9995, 0.5042, 0.8712], [0.0005, 0.0042, 0.1288], [0.5005, 0.5042, 0.3712], [0.4995, 0.0042, 0.6288], [0.8395, 0.7619, 0.9983], [0.3395, 0.2619, 0.5017], [0.6605, 0.7619, 0.4983], [0.1605, 0.2619, 0.0017], [0.5034, 0.5127, 0.8196], [0.4966, 0.0127, 0.1804], [0.9966, 0.5127, 0.3196], [0.0034, 0.0127, 0.6804], [0.9632, 0.8989, 0.7520], [0.0368, 0.3989, 0.2480], [0.5368, 0.8989, 0.2520], [0.4632, 0.3989, 0.7480], [0.0395, 0.1282, 0.7519], [0.9605, 0.6282, 0.2481], [0.4605, 0.1282, 0.2519], [0.5395, 0.6282, 0.7481], [0.1941, 0.9867, 0.6126], [0.8059, 0.4867, 0.3874], [0.3059, 0.9867, 0.1126], [0.6941, 0.4867, 0.8874], [0.8137, 0.0411, 0.6121], [0.1863, 0.5411, 0.3879], [0.6863, 0.0411, 0.1121], [0.6989, 0.7402, 0.0943], [0.3137, 0.5411, 0.8879], [0.4523, 0.3893, 0.2760], [0.9523, 0.8893, 0.2240], [0.0477, 0.3893, 0.7760], [0.4632, 0.1420, 0.7236], [0.5368, 0.6420, 0.2764], [0.0368, 0.1420, 0.2236], [0.9632, 0.6420, 0.7764], [0.4893, 0.1518, 0.5145], [0.5107, 0.6518, 0.4855], [0.0107, 0.1518, 0.0145], [0.9893, 0.6518, 0.9855], [0.4671, 0.3847, 0.4889], [0.5329, 0.8847, 0.5111], [0.0329, 0.3847, 0.9889], [0.9671, 0.8847, 0.0111], [0.2012, 0.2813, 0.5984], [0.7988, 0.7813, 0.4016], [0.2988, 0.2813, 0.0984], [0.7012, 0.7813, 0.9016], [0.1989, 0.2402, 0.4057], [0.8011, 0.7402, 0.5943], [0.3011, 0.2402, 0.9057], [0.5477, 0.8893, 0.7240]]}

Q: Which of them is the least stable? A: model one.

Model one:
{"formula": "KYP2O7", "functional": "GGA-PBE", "state": "optimized geometry", "magmom_total_mub_per_atom": 0.000, "spacegroup": "No. 14", "lattice_angstrom": [[11.0814, 0.0000, 0.0000], [0.0000, 7.7009, 0.0000], [0.0000, 2.5416, 8.3375]], "species": ["K", "K", "K", "K", "Y", "Y", "Y", "Y", "P", "P", "P", "P", "P", "P", "P", "P", "O", "O", "O", "O", "O", "O", "O", "O", "O", "O", "O", "O", "O", "O", "O", "O", "O", "O", "O", "O", "O", "O", "O", "O", "O", "O", "O", "O"], "fractional_positions": [[0.8218, 0.1812, 0.4293], [0.6782, 0.1812, 0.9293], [0.3218, 0.8188, 0.0707], [0.1782, 0.8188, 0.5707], [0.5953, 0.7689, 0.7487], [0.0953, 0.2311, 0.7513], [0.9047, 0.7689, 0.2487], [0.4047, 0.2311, 0.2513], [0.1030, 0.1286, 0.1918], [0.6030, 0.8714, 0.3082], [0.3970, 0.1286, 0.6918], [0.8970, 0.8714, 0.8082], [0.3567, 0.4449, 0.8097], [0.8567, 0.5551, 0.6903], [0.6433, 0.5551, 0.1903], [0.1433, 0.4449, 0.3097], [0.0858, 0.6337, 0.2568], [0.0963, 0.1326, 0.0169], [0.7279, 0.9316, 0.2348], [0.2279, 0.0684, 0.2652], [0.4037, 0.1326, 0.5169], [0.5789, 0.6643, 0.3040], [0.3870, 0.3394, 0.9825], [0.4984, 0.0134, 0.7924], [0.9984, 0.9866, 0.7076], [0.4211, 0.3357, 0.6960], [0.4142, 0.6337, 0.7568], [0.2783, 0.4569, 0.2696], [0.5016, 0.9866, 0.2076], [0.0789, 0.3357, 0.1960], [0.2721, 0.0684, 0.7652], [0.9037, 0.8674, 0.9831], [0.9211, 0.6643, 0.8040], [0.8870, 0.6606, 0.5175], [0.5858, 0.3663, 0.2432], [0.7217, 0.5431, 0.7304], [0.5963, 0.8674, 0.4831], [0.6130, 0.6606, 0.0175], [0.9142, 0.3663, 0.7432], [0.1130, 0.3394, 0.4825], [0.0016, 0.0134, 0.2924], [0.2217, 0.4569, 0.7696], [0.7721, 0.9316, 0.7348], [0.7783, 0.5431, 0.2304]]}

Model two:
{"formula": "KYP2O7", "functional": "GGA-PBE", "state": "optimized geometry", "magmom_total_mub_per_atom": 0.000, "spacegroup": "No. 63", "lattice_angstrom": [[-4.9983, -1.1335, 1.9804], [1.3426, -2.3736, -4.7701], [4.6534, -9.7527, 6.1627]], "species": ["K", "K", "Y", "Y", "P", "P", "P", "P", "O", "O", "O", "O", "O", "O", "O", "O", "O", "O", "O", "O", "O", "O"], "fractional_positions": [[0.6957, 0.3043, 0.2500], [0.3043, 0.6957, 0.7500], [0.0000, 0.0000, 0.0000], [0.0000, 0.0000, 0.5000], [0.3559, 0.6441, 0.3704], [0.6441, 0.3559, 0.6296], [0.3559, 0.6441, 0.1296], [0.6441, 0.3559, 0.8704], [0.3335, 0.2262, 0.6232], [0.7728, 0.2272, 0.5551], [0.6665, 0.7738, 0.3768], [0.6665, 0.7738, 0.1232], [0.2272, 0.7728, 0.4449], [0.7738, 0.6665, 0.8768], [0.2272, 0.7728, 0.0551], [0.7728, 0.2272, 0.9449], [0.7738, 0.6665, 0.6232], [0.7179, 0.2821, 0.7500], [0.2262, 0.3335, 0.3768], [0.2262, 0.3335, 0.1232], [0.2821, 0.7179, 0.2500], [0.3335, 0.2262, 0.8768]]}

Q: Which of them is the least stable? A: model two.

Model one:
{"formula": "K2S2O5", "functional": "GGA-PBE", "state": "optimized geometry", "magmom_total_mub_per_atom": 0.000, "spacegroup": "No. 11", "lattice_angstrom": [[6.2291, 0.0000, 0.0000], [0.0000, 7.1689, 0.0000], [0.0000, 1.5497, 7.5743]], "species": ["K", "K", "K", "K", "S", "S", "S", "S", "O", "O", "O", "O", "O", "O", "O", "O", "O", "O"], "fractional_positions": [[0.2500, 0.3558, 0.6741], [0.7500, 0.6442, 0.3259], [0.2500, 0.7843, 0.9292], [0.7500, 0.2157, 0.0708], [0.2500, 0.9723, 0.3191], [0.7500, 0.0277, 0.6809], [0.2500, 0.3040, 0.2394], [0.7500, 0.6960, 0.7606], [0.2500, 0.3591, 0.0432], [0.7500, 0.6409, 0.9568], [0.5519, 0.6327, 0.6811], [0.0519, 0.3673, 0.3189], [0.4481, 0.3673, 0.3189], [0.9481, 0.6327, 0.6811], [0.5514, 0.0723, 0.7763], [0.0514, 0.9277, 0.2237], [0.9486, 0.0723, 0.7763], [0.4486, 0.9277, 0.2237]]}

Model two:
{"formula": "K2S2O5", "functional": "GGA-PBE", "state": "optimized geometry", "magmom_total_mub_per_atom": 0.000, "spacegroup": "No. 11", "lattice_angstrom": [[6.6030, 0.0000, 0.0000], [0.0000, 6.9847, 0.4497], [0.0000, 3.3741, 8.4481]], "species": ["K", "K", "K", "K", "S", "S", "S", "S", "O", "O", "O", "O", "O", "O", "O", "O", "O", "O"], "fractional_positions": [[0.7500, 0.7136, 0.0089], [0.7500, 0.2775, 0.4849], [0.2500, 0.7225, 0.5151], [0.2500, 0.2864, 0.9911], [0.7500, 0.1409, 0.1737], [0.2500, 0.8591, 0.8263], [0.2500, 0.2059, 0.6330], [0.7500, 0.7941, 0.3670], [0.0641, 0.7682, 0.7864], [0.9365, 0.7055, 0.3235], [0.5635, 0.7055, 0.3235], [0.2500, 0.8416, 0.9938], [0.5641, 0.2318, 0.2136], [0.7500, 0.1584, 0.0062], [0.4365, 0.2945, 0.6765], [0.0635, 0.2945, 0.6765], [0.4359, 0.7682, 0.7864], [0.9359, 0.2318, 0.2136]]}

Q: Which of them is the least stable? A: model two.